[1]
Density functional theory data (PBE) for a relaxed Mn2Si5N8 crystal.

Cell and atoms, written as POSCAR:
```
Mn2Si5N8
1.0
9.810 0.000 0.000
0.000 13.375 0.000
0.000 0.000 10.800
Mn Si N
16 40 64
direct
0.087 0.059 0.139 Mn
0.087 0.441 0.639 Mn
0.136 0.005 0.414 Mn
0.136 0.495 0.914 Mn
0.364 0.505 0.414 Mn
0.364 0.995 0.914 Mn
0.413 0.559 0.139 Mn
0.413 0.941 0.639 Mn
0.587 0.059 0.361 Mn
0.587 0.441 0.861 Mn
0.636 0.005 0.086 Mn
0.636 0.495 0.586 Mn
0.864 0.505 0.086 Mn
0.864 0.995 0.586 Mn
0.913 0.559 0.361 Mn
0.913 0.941 0.861 Mn
0.006 0.714 0.018 Si
0.006 0.786 0.518 Si
0.018 0.165 0.753 Si
0.018 0.335 0.253 Si
0.143 0.536 0.177 Si
0.143 0.964 0.677 Si
0.237 0.662 0.604 Si
0.237 0.838 0.104 Si
0.239 0.718 0.339 Si
0.239 0.782 0.839 Si
0.261 0.218 0.339 Si
0.261 0.282 0.839 Si
0.263 0.162 0.604 Si
0.263 0.338 0.104 Si
0.357 0.036 0.177 Si
0.357 0.464 0.677 Si
0.482 0.665 0.753 Si
0.482 0.835 0.253 Si
0.494 0.214 0.018 Si
0.494 0.286 0.518 Si
0.506 0.714 0.482 Si
0.506 0.786 0.982 Si
0.518 0.165 0.747 Si
0.518 0.335 0.247 Si
0.643 0.536 0.323 Si
0.643 0.964 0.823 Si
0.737 0.662 0.896 Si
0.737 0.838 0.396 Si
0.739 0.718 0.161 Si
0.739 0.782 0.661 Si
0.761 0.218 0.161 Si
0.761 0.282 0.661 Si
0.763 0.162 0.896 Si
0.763 0.338 0.396 Si
0.857 0.036 0.323 Si
0.857 0.464 0.823 Si
0.982 0.665 0.747 Si
0.982 0.835 0.247 Si
0.994 0.214 0.482 Si
0.994 0.286 0.982 Si
0.027 0.037 0.758 N
0.027 0.463 0.258 N
0.050 0.596 0.062 N
0.050 0.904 0.562 N
0.095 0.210 0.617 N
0.095 0.290 0.117 N
0.101 0.228 0.873 N
0.101 0.272 0.373 N
0.147 0.711 0.479 N
0.147 0.789 0.979 N
0.154 0.700 0.740 N
0.154 0.800 0.240 N
0.242 0.100 0.273 N
0.242 0.400 0.773 N
0.245 0.535 0.584 N
0.245 0.965 0.084 N
0.255 0.035 0.584 N
0.255 0.465 0.084 N
0.258 0.600 0.273 N
0.258 0.900 0.773 N
0.346 0.200 0.740 N
0.346 0.300 0.240 N
0.353 0.211 0.479 N
0.353 0.289 0.979 N
0.399 0.728 0.873 N
0.399 0.772 0.373 N
0.405 0.710 0.617 N
0.405 0.790 0.117 N
0.450 0.096 0.062 N
0.450 0.404 0.562 N
0.473 0.537 0.758 N
0.473 0.963 0.258 N
0.527 0.037 0.742 N
0.527 0.463 0.242 N
0.550 0.596 0.438 N
0.550 0.904 0.938 N
0.595 0.210 0.883 N
0.595 0.290 0.383 N
0.601 0.228 0.627 N
0.601 0.272 0.127 N
0.647 0.711 0.021 N
0.647 0.789 0.521 N
0.654 0.700 0.760 N
0.654 0.800 0.260 N
0.742 0.100 0.227 N
0.742 0.400 0.727 N
0.745 0.535 0.916 N
0.745 0.965 0.416 N
0.755 0.035 0.916 N
0.755 0.465 0.416 N
0.758 0.600 0.227 N
0.758 0.900 0.727 N
0.846 0.200 0.760 N
0.846 0.300 0.260 N
0.853 0.211 0.021 N
0.853 0.289 0.521 N
0.899 0.728 0.627 N
0.899 0.772 0.127 N
0.905 0.710 0.883 N
0.905 0.790 0.383 N
0.950 0.096 0.438 N
0.950 0.404 0.938 N
0.973 0.537 0.742 N
0.973 0.963 0.242 N
```

Values from the calculation:
Energy relative to the elements (eV per atom): -0.948


[2]
Density functional theory data (PBE) for a relaxed MnSi7N10 crystal.

Cell and atoms, written as POSCAR:
```
MnSi7N10
1.0
6.730 0.000 0.000
0.000 6.895 0.000
-2.460 0.000 9.398
Mn Si N
2 14 20
direct
0.000 0.066 0.000 Mn
0.000 0.934 0.500 Mn
0.112 0.400 0.872 Si
0.112 0.600 0.372 Si
0.301 0.382 0.181 Si
0.301 0.618 0.681 Si
0.352 0.022 0.818 Si
0.352 0.978 0.318 Si
0.487 0.367 0.484 Si
0.487 0.633 0.984 Si
0.544 0.021 0.122 Si
0.544 0.979 0.622 Si
0.663 0.361 0.790 Si
0.663 0.639 0.290 Si
0.846 0.384 0.107 Si
0.846 0.616 0.607 Si
0.078 0.431 0.233 N
0.078 0.569 0.733 N
0.154 0.159 0.843 N
0.154 0.841 0.343 N
0.292 0.494 0.021 N
0.292 0.506 0.521 N
0.316 0.130 0.163 N
0.316 0.870 0.663 N
0.448 0.120 0.469 N
0.448 0.880 0.969 N
0.501 0.458 0.320 N
0.501 0.542 0.820 N
0.556 0.136 0.767 N
0.556 0.864 0.267 N
0.702 0.413 0.623 N
0.702 0.587 0.123 N
0.751 0.155 0.109 N
0.751 0.845 0.609 N
0.885 0.384 0.930 N
0.885 0.616 0.430 N
```

Values from the calculation:
Energy relative to the elements (eV per atom): -1.068


[3]
Density functional theory data (PBE) for a relaxed Mn3Sn8N9 crystal.

Cell and atoms, written as POSCAR:
```
Mn3Sn8N9
1.0
6.960 0.000 0.000
0.000 11.030 0.000
-6.504 0.000 17.679
Mn Sn N
12 32 36
direct
0.084 0.080 0.243 Mn
0.084 0.420 0.743 Mn
0.203 0.171 0.596 Mn
0.203 0.329 0.096 Mn
0.337 0.592 0.574 Mn
0.337 0.908 0.074 Mn
0.663 0.092 0.926 Mn
0.663 0.408 0.426 Mn
0.797 0.671 0.904 Mn
0.797 0.829 0.404 Mn
0.916 0.580 0.257 Mn
0.916 0.920 0.757 Mn
0.006 0.633 0.095 Sn
0.006 0.867 0.595 Sn
0.035 0.634 0.409 Sn
0.035 0.866 0.909 Sn
0.191 0.159 0.755 Sn
0.191 0.341 0.255 Sn
0.293 0.645 0.738 Sn
0.293 0.855 0.238 Sn
0.310 0.112 0.975 Sn
0.310 0.388 0.475 Sn
0.418 0.639 0.947 Sn
0.418 0.861 0.447 Sn
0.488 0.590 0.336 Sn
0.488 0.910 0.836 Sn
0.496 0.627 0.136 Sn
0.496 0.873 0.636 Sn
0.504 0.127 0.364 Sn
0.504 0.373 0.864 Sn
0.512 0.090 0.164 Sn
0.512 0.410 0.664 Sn
0.582 0.139 0.553 Sn
0.582 0.361 0.053 Sn
0.690 0.612 0.525 Sn
0.690 0.888 0.025 Sn
0.707 0.145 0.762 Sn
0.707 0.355 0.262 Sn
0.809 0.659 0.745 Sn
0.809 0.841 0.245 Sn
0.965 0.134 0.091 Sn
0.965 0.366 0.591 Sn
0.994 0.133 0.405 Sn
0.994 0.367 0.905 Sn
0.022 0.067 0.585 N
0.022 0.433 0.085 N
0.105 0.555 0.572 N
0.105 0.945 0.072 N
0.169 0.171 0.331 N
0.169 0.329 0.831 N
0.182 0.533 0.280 N
0.182 0.967 0.780 N
0.246 0.200 0.505 N
0.246 0.300 0.005 N
0.345 0.677 0.487 N
0.345 0.823 0.987 N
0.372 0.051 0.248 N
0.372 0.449 0.748 N
0.480 0.678 0.667 N
0.480 0.822 0.167 N
0.493 0.213 0.654 N
0.493 0.287 0.154 N
0.507 0.713 0.846 N
0.507 0.787 0.346 N
0.520 0.178 0.833 N
0.520 0.322 0.333 N
0.628 0.551 0.252 N
0.628 0.949 0.752 N
0.655 0.177 0.013 N
0.655 0.323 0.513 N
0.754 0.700 0.995 N
0.754 0.800 0.495 N
0.818 0.033 0.220 N
0.818 0.467 0.720 N
0.831 0.671 0.169 N
0.831 0.829 0.669 N
0.895 0.055 0.928 N
0.895 0.445 0.428 N
0.978 0.567 0.915 N
0.978 0.933 0.415 N
```

Values from the calculation:
Energy relative to the elements (eV per atom): 0.175


Record order is preserved below.
Volume: 1417 436 1357 Å³ per cell